The following is a DFT calculation (PBE+U) of crystalline Ca4Mn3AlO10 at its relaxed geometry.

a = 10.866 Å, b = 10.953 Å, c = 15.442 Å
α = 90.12°, β = 90.09°, γ = 90.49°
Space group P1 (No. 1)
Unique sites:
Ca 0.000 0.000 0.000 [1 per cell]
Ca 0.000 0.485 0.996 [1 per cell]
Ca 0.009 0.983 0.485 [1 per cell]
Ca 0.012 0.941 0.236 [1 per cell]
Ca 0.023 0.452 0.742 [1 per cell]
Ca 0.237 0.209 0.740 [1 per cell]
Ca 0.244 0.216 0.007 [1 per cell]
Ca 0.245 0.195 0.232 [1 per cell]
Ca 0.251 0.708 0.233 [1 per cell]
Ca 0.252 0.242 0.512 [1 per cell]
Ca 0.258 0.734 0.005 [1 per cell]
Ca 0.266 0.735 0.480 [1 per cell]
Ca 0.268 0.738 0.727 [1 per cell]
Ca 0.495 0.982 0.977 [1 per cell]
Ca 0.502 0.486 0.483 [1 per cell]
Ca 0.505 0.501 0.995 [1 per cell]
Ca 0.505 0.928 0.242 [1 per cell]
Ca 0.507 0.447 0.737 [1 per cell]
Ca 0.521 0.972 0.486 [1 per cell]
Ca 0.530 0.453 0.224 [1 per cell]
Ca 0.532 0.950 0.732 [1 per cell]
Ca 0.723 0.227 0.501 [1 per cell]
Ca 0.749 0.695 0.236 [1 per cell]
Ca 0.754 0.759 0.999 [1 per cell]
Ca 0.756 0.229 0.999 [1 per cell]
Ca 0.758 0.193 0.738 [1 per cell]
Ca 0.761 0.751 0.488 [1 per cell]
Ca 0.775 0.222 0.231 [1 per cell]
Ca 0.776 0.760 0.725 [1 per cell]
Ca 0.986 0.510 0.495 [1 per cell]
Ca 0.989 0.472 0.222 [1 per cell]
Ca 0.995 0.964 0.740 [1 per cell]
Mn 0.001 0.713 0.361 [1 per cell]
Mn 0.003 0.747 0.614 [1 per cell]
Mn 0.006 0.720 0.108 [1 per cell]
Mn 0.007 0.225 0.117 [1 per cell]
Mn 0.011 0.719 0.864 [1 per cell]
Mn 0.044 0.227 0.373 [1 per cell]
Mn 0.234 0.472 0.379 [1 per cell]
Mn 0.250 0.960 0.362 [1 per cell]
Mn 0.256 0.472 0.623 [1 per cell]
Mn 0.258 0.475 0.100 [1 per cell]
Mn 0.264 0.972 0.117 [1 per cell]
Mn 0.500 0.219 0.613 [1 per cell]
Mn 0.502 0.709 0.364 [1 per cell]
Mn 0.504 0.727 0.610 [1 per cell]
Mn 0.506 0.724 0.113 [1 per cell]
Mn 0.519 0.210 0.353 [1 per cell]
Mn 0.520 0.725 0.856 [1 per cell]
Mn 0.744 0.483 0.865 [1 per cell]
Mn 0.746 0.469 0.365 [1 per cell]
Mn 0.750 0.963 0.358 [1 per cell]
Mn 0.753 0.467 0.108 [1 per cell]
Mn 0.758 0.473 0.611 [1 per cell]
Mn 0.758 0.980 0.866 [1 per cell]
Mn 0.765 0.972 0.118 [1 per cell]
Al 0.025 0.194 0.858 [1 per cell]
Al 0.235 0.949 0.876 [1 per cell]
Al 0.265 0.425 0.852 [1 per cell]
Al 0.273 0.972 0.595 [1 per cell]
Al 0.487 0.239 0.109 [1 per cell]
Al 0.535 0.235 0.871 [1 per cell]
Al 0.759 0.990 0.605 [1 per cell]
Al 0.985 0.242 0.616 [1 per cell]
O 0.039 0.205 0.504 [1 per cell]
O 0.040 0.213 0.975 [1 per cell]
O 0.049 0.694 0.983 [1 per cell]
O 0.053 0.713 0.498 [1 per cell]
O 0.089 0.549 0.344 [1 per cell]
O 0.111 0.061 0.341 [1 per cell]
O 0.112 0.086 0.133 [1 per cell]
O 0.117 0.575 0.127 [1 per cell]
O 0.130 0.334 0.844 [1 per cell]
O 0.141 0.068 0.834 [1 per cell]
O 0.149 0.331 0.642 [1 per cell]
O 0.149 0.806 0.346 [1 per cell]
O 0.150 0.891 0.645 [1 per cell]
O 0.158 0.831 0.130 [1 per cell]
O 0.162 0.331 0.123 [1 per cell]
O 0.171 0.803 0.854 [1 per cell]
O 0.206 0.463 0.505 [1 per cell]
O 0.226 0.302 0.363 [1 per cell]
O 0.230 0.980 0.988 [1 per cell]
O 0.230 0.998 0.486 [1 per cell]
O 0.254 0.516 0.756 [1 per cell]
O 0.277 0.492 0.955 [1 per cell]
O 0.302 0.983 0.243 [1 per cell]
O 0.337 0.115 0.632 [1 per cell]
O 0.348 0.624 0.601 [1 per cell]
O 0.353 0.598 0.381 [1 per cell]
O 0.357 0.619 0.107 [1 per cell]
O 0.377 0.114 0.101 [1 per cell]
O 0.388 0.922 0.845 [1 per cell]
O 0.392 0.310 0.830 [1 per cell]
O 0.398 0.875 0.597 [1 per cell]
O 0.399 0.860 0.389 [1 per cell]
O 0.404 0.378 0.100 [1 per cell]
O 0.405 0.364 0.610 [1 per cell]
O 0.409 0.867 0.095 [1 per cell]
O 0.459 0.245 0.241 [1 per cell]
O 0.468 0.721 0.243 [1 per cell]
O 0.483 0.723 0.734 [1 per cell]
O 0.496 0.207 0.476 [1 per cell]
O 0.515 0.721 0.978 [1 per cell]
O 0.517 0.217 0.984 [1 per cell]
O 0.546 0.689 0.493 [1 per cell]
O 0.575 0.561 0.850 [1 per cell]
O 0.584 0.556 0.348 [1 per cell]
O 0.594 0.053 0.342 [1 per cell]
O 0.597 0.091 0.837 [1 per cell]
O 0.610 0.081 0.623 [1 per cell]
O 0.612 0.577 0.121 [1 per cell]
O 0.641 0.333 0.642 [1 per cell]
O 0.642 0.289 0.128 [1 per cell]
O 0.648 0.807 0.350 [1 per cell]
O 0.651 0.834 0.618 [1 per cell]
O 0.654 0.330 0.829 [1 per cell]
O 0.654 0.833 0.136 [1 per cell]
O 0.662 0.833 0.849 [1 per cell]
O 0.678 0.304 0.352 [1 per cell]
O 0.710 0.981 0.992 [1 per cell]
O 0.720 0.443 0.487 [1 per cell]
O 0.724 0.446 0.989 [1 per cell]
O 0.735 0.997 0.482 [1 per cell]
O 0.775 0.476 0.238 [1 per cell]
O 0.780 0.977 0.739 [1 per cell]
O 0.797 0.000 0.241 [1 per cell]
O 0.853 0.136 0.603 [1 per cell]
O 0.855 0.631 0.605 [1 per cell]
O 0.857 0.608 0.390 [1 per cell]
O 0.861 0.116 0.099 [1 per cell]
O 0.865 0.614 0.088 [1 per cell]
O 0.867 0.126 0.876 [1 per cell]
O 0.893 0.890 0.599 [1 per cell]
O 0.899 0.364 0.097 [1 per cell]
O 0.899 0.873 0.883 [1 per cell]
O 0.900 0.872 0.382 [1 per cell]
O 0.908 0.860 0.089 [1 per cell]
O 0.917 0.554 0.857 [1 per cell]
O 0.918 0.390 0.618 [1 per cell]
O 0.966 0.720 0.233 [1 per cell]
O 0.977 0.266 0.260 [1 per cell]
O 0.991 0.205 0.736 [1 per cell]
O 0.995 0.730 0.739 [1 per cell]

## Properties
E in eV/atom: -6.986
Excess energy over the best structure of this formula in the dataset in kcal/mol of atoms: 1.08
Formation energy from the elements in eV per atom: -2.72
Calculated volume in Å³ per atom: 12.8

The following is a DFT calculation (PBE+U) of crystalline Ca8Mn6Al2O21 at its relaxed geometry.

a = 7.737 Å, b = 7.737 Å, c = 7.442 Å
α = 90.00°, β = 90.00°, γ = 90.00°
Space group P4/mmm (No. 123)
Unique sites:
Ca 0.238 0.238 0.000 [4 per cell]
Ca 0.248 0.248 0.500 [4 per cell]
Mn 0.000 0.000 0.252 [2 per cell]
Mn 0.000 0.500 0.253 [4 per cell]
Al 0.500 0.500 0.246 [2 per cell]
O 0.000 0.000 0.000 [1 per cell]
O 0.000 0.244 0.273 [8 per cell]
O 0.000 0.500 0.000 [2 per cell]
O 0.000 0.500 0.500 [2 per cell]
O 0.265 0.500 0.250 [8 per cell]

## Properties
E in eV/atom: -6.863
Excess energy over the best structure of this formula in the dataset in kcal/mol of atoms: 2.77
Formation energy from the elements in eV per atom: -2.59
Calculated volume in Å³ per atom: 12.0

The following is a DFT calculation (PBE+U) of crystalline Ca4Mn3AlO10 at its relaxed geometry.

a = 7.605 Å, b = 7.550 Å, c = 7.949 Å
α = 90.00°, β = 92.04°, γ = 90.00°
Space group Pm (No. 6)
Unique sites:
Ca 0.000 0.231 0.000 [2 per cell]
Ca 0.462 0.235 0.035 [2 per cell]
Ca 0.476 0.234 0.487 [2 per cell]
Ca 0.957 0.242 0.551 [2 per cell]
Mn 0.209 0.000 0.255 [1 per cell]
Mn 0.227 0.000 0.756 [1 per cell]
Mn 0.268 0.500 0.748 [1 per cell]
Mn 0.713 0.000 0.253 [1 per cell]
Mn 0.718 0.000 0.755 [1 per cell]
Mn 0.734 0.500 0.808 [1 per cell]
Al 0.187 0.500 0.308 [1 per cell]
Al 0.775 0.500 0.245 [1 per cell]
O 0.201 0.000 0.509 [1 per cell]
O 0.221 0.299 0.201 [2 per cell]
O 0.247 0.000 0.998 [1 per cell]
O 0.275 0.246 0.758 [2 per cell]
O 0.329 0.500 0.493 [1 per cell]
O 0.460 0.000 0.281 [1 per cell]
O 0.496 0.500 0.891 [1 per cell]
O 0.665 0.000 0.990 [1 per cell]
O 0.665 0.298 0.275 [2 per cell]
O 0.705 0.258 0.724 [2 per cell]
O 0.733 0.000 0.510 [1 per cell]
O 0.860 0.500 0.042 [1 per cell]
O 0.959 0.000 0.209 [1 per cell]
O 0.967 0.500 0.383 [1 per cell]
O 0.975 0.000 0.781 [1 per cell]
O 0.993 0.500 0.739 [1 per cell]

## Properties
E in eV/atom: -7.033
Excess energy over the best structure of this formula in the dataset in kcal/mol of atoms: 0.00
Formation energy from the elements in eV per atom: -2.76
Calculated volume in Å³ per atom: 12.7